{"formula": "K3Ta2S11", "functional": "GGA-PBE", "state": "relaxed", "cell": [[7.793, 0.000, 0.000], [0.000, 8.971, 0.000], [-4.341, 0.000, 24.743]], "species": ["K", "K", "K", "K", "K", "K", "K", "K", "K", "K", "K", "K", "Ta", "Ta", "Ta", "Ta", "Ta", "Ta", "Ta", "Ta", "S", "S", "S", "S", "S", "S", "S", "S", "S", "S", "S", "S", "S", "S", "S", "S", "S", "S", "S", "S", "S", "S", "S", "S", "S", "S", "S", "S", "S", "S", "S", "S", "S", "S", "S", "S", "S", "S", "S", "S", "S", "S", "S", "S"], "frac_coords": [[0.197, 0.236, 0.489], [0.197, 0.264, 0.989], [0.237, 0.212, 0.685], [0.237, 0.288, 0.185], [0.267, 0.747, 0.170], [0.267, 0.753, 0.670], [0.733, 0.247, 0.330], [0.733, 0.253, 0.830], [0.763, 0.712, 0.815], [0.763, 0.788, 0.315], [0.803, 0.736, 0.011], [0.803, 0.764, 0.511], [0.228, 0.673, 0.922], [0.228, 0.827, 0.422], [0.324, 0.540, 0.331], [0.324, 0.960, 0.831], [0.676, 0.040, 0.169], [0.676, 0.460, 0.669], [0.772, 0.173, 0.578], [0.772, 0.327, 0.078], [0.003, 0.017, 0.586], [0.003, 0.483, 0.086], [0.031, 0.531, 0.276], [0.031, 0.969, 0.776], [0.072, 0.588, 0.401], [0.072, 0.912, 0.901], [0.128, 0.175, 0.807], [0.128, 0.325, 0.307], [0.175, 0.624, 0.483], [0.175, 0.876, 0.983], [0.250, 0.681, 0.823], [0.250, 0.819, 0.323], [0.415, 0.587, 0.007], [0.415, 0.913, 0.507], [0.435, 0.551, 0.873], [0.435, 0.949, 0.373], [0.477, 0.095, 0.910], [0.477, 0.405, 0.410], [0.480, 0.135, 0.090], [0.480, 0.365, 0.590], [0.496, 0.526, 0.268], [0.496, 0.974, 0.768], [0.504, 0.026, 0.232], [0.504, 0.474, 0.732], [0.520, 0.635, 0.410], [0.520, 0.865, 0.910], [0.523, 0.595, 0.590], [0.523, 0.905, 0.090], [0.565, 0.051, 0.627], [0.565, 0.449, 0.127], [0.585, 0.087, 0.493], [0.585, 0.413, 0.993], [0.750, 0.181, 0.677], [0.750, 0.319, 0.177], [0.825, 0.124, 0.017], [0.825, 0.376, 0.517], [0.872, 0.675, 0.693], [0.872, 0.825, 0.193], [0.928, 0.088, 0.099], [0.928, 0.412, 0.599], [0.969, 0.031, 0.224], [0.969, 0.469, 0.724], [0.997, 0.517, 0.914], [0.997, 0.983, 0.414]], "e_tot_ha_per_atom": -0.198, "total_magnetization_mub_per_cell": 0.00}

***

{"formula": "Dy3Mg2TiS8", "functional": "GGA-PBE", "state": "relaxed", "cell": [[3.910, 2.257, 6.249], [-3.910, 2.257, 6.249], [0.000, -4.514, 6.249]], "species": ["Dy", "Dy", "Dy", "Mg", "Mg", "Ti", "S", "S", "S", "S", "S", "S", "S", "S"], "frac_coords": [[0.000, 0.500, 0.500], [0.500, 0.000, 0.500], [0.500, 0.500, 0.000], [0.125, 0.125, 0.125], [0.875, 0.875, 0.875], [0.500, 0.500, 0.500], [0.254, 0.254, 0.254], [0.267, 0.267, 0.732], [0.267, 0.732, 0.267], [0.268, 0.733, 0.733], [0.732, 0.267, 0.267], [0.733, 0.268, 0.733], [0.733, 0.733, 0.268], [0.746, 0.746, 0.746]], "e_tot_ha_per_atom": -0.215, "total_magnetization_mub_per_cell": 1.00}

***

{"formula": "Sr2Ga2S5", "functional": "GGA-PBE", "state": "relaxed", "cell": [[11.307, 0.000, 0.000], [0.000, 12.654, 0.000], [0.000, 0.000, 12.147]], "species": ["Sr", "Sr", "Sr", "Sr", "Sr", "Sr", "Sr", "Sr", "Sr", "Sr", "Sr", "Sr", "Sr", "Sr", "Sr", "Sr", "Ga", "Ga", "Ga", "Ga", "Ga", "Ga", "Ga", "Ga", "Ga", "Ga", "Ga", "Ga", "Ga", "Ga", "Ga", "Ga", "S", "S", "S", "S", "S", "S", "S", "S", "S", "S", "S", "S", "S", "S", "S", "S", "S", "S", "S", "S", "S", "S", "S", "S", "S", "S", "S", "S", "S", "S", "S", "S", "S", "S", "S", "S", "S", "S", "S", "S"], "frac_coords": [[0.002, 0.198, 0.022], [0.002, 0.302, 0.522], [0.247, 0.690, 0.753], [0.247, 0.810, 0.253], [0.253, 0.190, 0.753], [0.253, 0.310, 0.253], [0.498, 0.698, 0.022], [0.498, 0.802, 0.522], [0.502, 0.198, 0.478], [0.502, 0.302, 0.978], [0.747, 0.690, 0.747], [0.747, 0.810, 0.247], [0.753, 0.190, 0.747], [0.753, 0.310, 0.247], [0.998, 0.698, 0.478], [0.998, 0.802, 0.978], [0.059, 0.049, 0.295], [0.059, 0.451, 0.795], [0.224, 0.529, 0.036], [0.224, 0.971, 0.536], [0.276, 0.029, 0.036], [0.276, 0.471, 0.536], [0.441, 0.549, 0.295], [0.441, 0.951, 0.795], [0.559, 0.049, 0.205], [0.559, 0.451, 0.705], [0.724, 0.529, 0.464], [0.724, 0.971, 0.964], [0.776, 0.029, 0.464], [0.776, 0.471, 0.964], [0.941, 0.549, 0.205], [0.941, 0.951, 0.705], [0.008, 0.220, 0.275], [0.008, 0.280, 0.775], [0.072, 0.063, 0.617], [0.072, 0.437, 0.117], [0.096, 0.524, 0.620], [0.096, 0.976, 0.120], [0.235, 0.706, 0.014], [0.235, 0.794, 0.514], [0.250, 0.038, 0.362], [0.250, 0.462, 0.862], [0.250, 0.538, 0.362], [0.250, 0.962, 0.862], [0.265, 0.206, 0.014], [0.265, 0.294, 0.514], [0.404, 0.024, 0.620], [0.404, 0.476, 0.120], [0.428, 0.563, 0.617], [0.428, 0.937, 0.117], [0.492, 0.720, 0.275], [0.492, 0.780, 0.775], [0.508, 0.220, 0.225], [0.508, 0.280, 0.725], [0.572, 0.063, 0.883], [0.572, 0.437, 0.383], [0.596, 0.524, 0.880], [0.596, 0.976, 0.380], [0.735, 0.706, 0.486], [0.735, 0.794, 0.986], [0.750, 0.038, 0.138], [0.750, 0.462, 0.638], [0.750, 0.538, 0.138], [0.750, 0.962, 0.638], [0.765, 0.206, 0.486], [0.765, 0.294, 0.986], [0.904, 0.024, 0.880], [0.904, 0.476, 0.380], [0.928, 0.563, 0.883], [0.928, 0.937, 0.383], [0.992, 0.720, 0.225], [0.992, 0.780, 0.725]], "e_tot_ha_per_atom": -0.174, "total_magnetization_mub_per_cell": 0.00}

***

{"formula": "LiNb2Te4Cl10O", "functional": "GGA-PBE", "state": "relaxed", "cell": [[7.058, 0.000, 0.000], [-2.406, 8.559, 0.000], [-0.159, -1.151, 9.452]], "species": ["Li", "Nb", "Nb", "Te", "Te", "Te", "Te", "Cl", "Cl", "Cl", "Cl", "Cl", "Cl", "Cl", "Cl", "Cl", "Cl", "O"], "frac_coords": [[0.000, 0.000, 0.000], [0.619, 0.165, 0.960], [0.646, 0.879, 0.231], [0.075, 0.706, 0.601], [0.230, 0.318, 0.562], [0.346, 0.595, 0.739], [0.961, 0.429, 0.422], [0.287, 0.987, 0.866], [0.338, 0.712, 0.158], [0.456, 0.307, 0.112], [0.537, 0.035, 0.409], [0.601, 0.328, 0.771], [0.700, 0.706, 0.398], [0.764, 0.005, 0.793], [0.809, 0.743, 0.054], [0.938, 0.324, 0.033], [0.992, 0.053, 0.286], [0.630, 0.022, 0.093]], "e_tot_ha_per_atom": -0.158, "total_magnetization_mub_per_cell": 0.99, "relative_energy_mev_per_atom": 5}

***

{"formula": "Ho2GaAg", "functional": "GGA-PBE", "state": "relaxed", "cell": [[0.000, 3.604, 3.604], [3.604, 0.000, 3.604], [3.604, 3.604, 0.000]], "species": ["Ho", "Ho", "Ga", "Ag"], "frac_coords": [[0.250, 0.250, 0.250], [0.750, 0.750, 0.750], [0.000, 0.000, 0.000], [0.500, 0.500, 0.500]], "e_tot_ha_per_atom": -0.155}

***

{"formula": "RbBiF4", "functional": "GGA-PBE", "state": "relaxed", "cell": [[0.000, 6.036, 6.036], [6.036, 0.000, 6.036], [6.036, 6.036, 0.000]], "species": ["Rb", "Rb", "Rb", "Rb", "Bi", "Bi", "Bi", "Bi", "F", "F", "F", "F", "F", "F", "F", "F", "F", "F", "F", "F", "F", "F", "F", "F"], "frac_coords": [[0.000, 0.000, 0.000], [0.000, 0.000, 0.500], [0.000, 0.500, 0.000], [0.500, 0.000, 0.000], [0.000, 0.500, 0.500], [0.500, 0.000, 0.500], [0.500, 0.500, 0.000], [0.500, 0.500, 0.500], [0.125, 0.125, 0.125], [0.162, 0.162, 0.588], [0.162, 0.588, 0.162], [0.162, 0.588, 0.588], [0.375, 0.375, 0.375], [0.412, 0.412, 0.838], [0.412, 0.838, 0.412], [0.412, 0.838, 0.838], [0.588, 0.162, 0.162], [0.588, 0.162, 0.588], [0.588, 0.588, 0.162], [0.625, 0.625, 0.625], [0.838, 0.412, 0.412], [0.838, 0.412, 0.838], [0.838, 0.838, 0.412], [0.875, 0.875, 0.875]], "e_tot_ha_per_atom": -0.169, "total_magnetization_mub_per_cell": 0.00}